No. 1
This record from Materials Project describes Mg14VC after structural relaxation. The functional is PBE.

a b c (Å): 6.252 6.252 9.784
angles (deg): 90.00 90.00 120.00
Fractional coordinates of all 16 atoms:
Mg1 0.000 0.000 0.246
Mg2 0.000 0.000 0.754
Mg3 0.019 0.509 0.261
Mg4 0.019 0.509 0.739
Mg5 0.329 0.164 0.500
Mg6 0.339 0.170 0.000
Mg7 0.491 0.509 0.261
Mg8 0.491 0.509 0.739
Mg9 0.491 0.981 0.261
Mg10 0.491 0.981 0.739
Mg11 0.830 0.170 0.000
Mg12 0.830 0.661 0.000
Mg13 0.836 0.164 0.500
Mg14 0.836 0.671 0.500
V1 0.333 0.667 0.000
C1 0.333 0.667 0.500

Values from the calculation:
**Total magnetization**: 3.577 Bohr magnetons per cell
**Space-group type**: P-6m2
**Distance to the lowest polymorph of the same formula**: 0.335 eV/f.u.
**Calculated total energy**: -2.200 eV/atom
**Crystal system**: hexagonal
**Calculated formation energy**: 0.3449 eV/atom
**Theoretical density**: 2.022 Mg/m³

No. 2
This record from Materials Project describes Cu2S3O12 after structural relaxation. The functional is PBE.

a b c (Å): 8.822 8.822 8.822
angles (deg): 55.29 55.29 55.29
Fractional coordinates of all 34 atoms:
Cu1 0.146 0.146 0.146
Cu2 0.346 0.346 0.346
Cu3 0.654 0.654 0.654
Cu4 0.854 0.854 0.854
S1 0.040 0.458 0.749
S2 0.251 0.960 0.542
S3 0.458 0.749 0.040
S4 0.542 0.251 0.960
S5 0.749 0.040 0.458
S6 0.960 0.542 0.251
O1 0.018 0.606 0.797
O2 0.125 0.866 0.743
O3 0.134 0.257 0.875
O4 0.155 0.533 0.208
O5 0.170 0.493 0.537
O6 0.203 0.982 0.394
O7 0.208 0.155 0.533
O8 0.257 0.875 0.134
O9 0.394 0.203 0.982
O10 0.463 0.830 0.507
O11 0.467 0.792 0.845
O12 0.493 0.537 0.170
O13 0.507 0.463 0.830
O14 0.533 0.208 0.155
O15 0.537 0.170 0.493
O16 0.606 0.797 0.018
O17 0.743 0.125 0.866
O18 0.792 0.845 0.467
O19 0.797 0.018 0.606
O20 0.830 0.507 0.463
O21 0.845 0.467 0.792
O22 0.866 0.743 0.125
O23 0.875 0.134 0.257
O24 0.982 0.394 0.203

Values from the calculation:
**Space-group type**: R-3
**Distance to the lowest polymorph of the same formula**: 0.000 eV/f.u.
**Calculated total energy**: -5.683 eV/atom
**Crystal system**: trigonal
**Calculated formation energy**: -1.4626 eV/atom
**Theoretical density**: 3.191 Mg/m³